[1]
Density functional theory data (PBE) for a geometry-optimized NdTi2Co10 structure.

Calculated values
Calculated total energy: -93.30 eV/cell
Total magnetic moment: 11.04 Bohr magnetons per cell
Formation energy: -12.3 kJ/mol of atoms

```
13
Lattice="-3.3804 1.7870 2.7493 -3.5798 -4.6452 2.6514 5.3751 -1.1750 3.3392" Properties=species:S:1:pos:R:3 pbc="T T T"
Co 0.9973 0.3060 3.0442
Co 2.4446 -1.4512 3.9491
Co 2.6875 -0.5875 1.6696
Co -0.0082 -1.2768 4.8536
Ti 1.1688 -3.7893 3.9002
Co -4.0298 -2.5820 4.7907
Co -1.2891 -0.4067 2.7129
Nd 0.0000 0.0000 0.0000
Co -0.2960 -3.6264 6.0269
Ti 0.6264 -2.0309 2.0904
Co -3.4801 -1.4291 2.7003
Co -1.5770 -2.7563 3.8863
Co -1.7899 -2.3226 1.3257
```

[2]
Density functional theory data (PBE) for a geometry-optimized CoNi3 structure.

Calculated values
Calculated total energy: -48.78 eV/cell
Formation energy: 1.5 kJ/mol of atoms

```
8
Lattice="2.4954 -4.3222 0.0000 2.4954 4.3222 0.0000 0.0000 0.0000 4.0689" Properties=species:S:1:pos:R:3 pbc="T T T"
Co 2.4954 -1.4407 1.0172
Ni 3.7416 -0.7213 3.0517
Co 2.4954 1.4407 3.0517
Ni 1.2493 0.7213 1.0172
Ni 2.4954 2.8797 1.0172
Ni 1.2493 -0.7213 3.0517
Ni 2.4954 -2.8797 3.0517
Ni 3.7416 0.7213 1.0172
```

[3]
Density functional theory data (PBE) for a geometry-optimized CoNi structure.

Calculated values
Calculated total energy: -12.68 eV/cell
Total magnetic moment: 2.29 Bohr magnetons per cell
Formation energy: 10.2 kJ/mol of atoms

```
2
Lattice="-1.7141 1.0920 1.2925 1.6970 -0.8501 1.4828 1.9670 3.4268 -0.2865" Properties=species:S:1:pos:R:3 pbc="T T T"
Co 0.0000 0.0000 0.0000
Ni 0.9749 1.8344 1.2444
```

[4]
Density functional theory data (PBE) for a geometry-optimized Co3Ni structure.

Calculated values
Calculated total energy: -27.10 eV/cell
Formation energy: 0.0 kJ/mol of atoms

```
4
Lattice="-0.3976 -0.7580 -3.4082 -3.3115 -1.0054 0.6099 -1.1066 3.2808 -0.6005" Properties=species:S:1:pos:R:3 pbc="T T T"
Co -0.7521 1.2614 -2.0044
Ni 0.0000 0.0000 0.0000
Co -1.8545 -0.8817 -1.3992
Co -2.2091 1.1377 0.0047
```

[5]
Density functional theory data (PBE) for a geometry-optimized CoNi3 structure.

Calculated values
Calculated total energy: -24.41 eV/cell
Formation energy: 1.0 kJ/mol of atoms

```
4
Lattice="3.5146 0.0000 0.0000 0.0000 3.5146 0.0000 0.0000 0.0000 3.5146" Properties=species:S:1:pos:R:3 pbc="T T T"
Ni 0.0000 1.7573 1.7573
Co 0.0000 0.0000 0.0000
Ni 1.7573 0.0000 1.7573
Ni 1.7573 1.7573 0.0000
```

[6]
Density functional theory data (PBE) for a geometry-optimized CoNi structure.

Calculated values
Calculated total energy: -12.58 eV/cell
Total magnetic moment: 2.31 Bohr magnetons per cell
Formation energy: 14.7 kJ/mol of atoms

```
2
Lattice="-2.7743 -0.3933 -0.0263 0.1730 -1.3832 2.4309 -0.3542 2.4051 1.3937" Properties=species:S:1:pos:R:3 pbc="T T T"
Ni 0.0000 0.0000 0.0000
Co -1.4778 0.3143 1.8991
```

[7]
Density functional theory data (PBE) for a geometry-optimized CoNi structure.

Calculated values
Calculated total energy: -12.88 eV/cell
Formation energy: 0.6 kJ/mol of atoms

```
2
Lattice="4.1360 -1.2394 0.0000 4.1360 1.2394 0.0000 3.7646 0.0000 2.1144" Properties=species:S:1:pos:R:3 pbc="T T T"
Ni 6.0183 0.0000 1.0572
Co 0.0000 0.0000 0.0000
```

[8]
Density functional theory data (PBE) for a geometry-optimized Co3Ni structure.

Calculated values
Calculated total energy: -27.12 eV/cell
Formation energy: -0.2 kJ/mol of atoms

```
4
Lattice="1.2522 -2.1688 0.0000 1.2522 2.1688 0.0000 0.0000 0.0000 8.1192" Properties=species:S:1:pos:R:3 pbc="T T T"
Co 0.0000 0.0000 6.0645
Ni 1.2522 0.7230 0.0000
Co 1.2522 0.7230 4.0596
Co 0.0000 0.0000 2.0547
```

[9]
Density functional theory data (PBE) for a geometry-optimized Co3Ni structure.

Calculated values
Calculated total energy: -54.42 eV/cell
Formation energy: -2.5 kJ/mol of atoms

```
8
Lattice="2.4928 -4.3176 0.0000 2.4928 4.3176 0.0000 0.0000 0.0000 4.0277" Properties=species:S:1:pos:R:3 pbc="T T T"
Ni 2.4928 1.4392 3.0208
Co 1.2425 0.7174 1.0069
Ni 2.4928 -1.4392 1.0069
Co 1.2425 -0.7174 3.0208
Co 3.7431 -0.7174 3.0208
Co 3.7431 0.7174 1.0069
Co 2.4928 2.8829 1.0069
Co 2.4928 -2.8829 3.0208
```

[10]
Density functional theory data (PBE) for a geometry-optimized VCoNiPd structure.

Calculated values
Calculated total energy: -26.99 eV/cell
Total magnetic moment: 1.48 Bohr magnetons per cell
Formation energy: 3.8 kJ/mol of atoms

```
4
Lattice="-7.0237 -4.7229 -1.2419 -5.4882 -5.7837 -3.0998 -5.3432 -6.6520 -0.6179" Properties=species:S:1:pos:R:3 pbc="T T T"
Co -0.0110 -0.0105 -0.0030
Ni -13.3100 -12.7908 -3.6971
Pd -8.9241 -8.5760 -2.4788
V -4.5375 -4.3605 -1.2604
```

[11]
Density functional theory data (PBE) for a geometry-optimized Pr2Co5Ni5 structure.

Calculated values
Calculated total energy: -75.18 eV/cell
Total magnetic moment: 8.74 Bohr magnetons per cell
Formation energy: -9.5 kJ/mol of atoms

```
12
Lattice="-3.6194 -1.2563 -1.0570 1.6397 -0.8261 -4.6328 2.1547 -8.0582 2.1996" Properties=species:S:1:pos:R:3 pbc="T T T"
Ni -0.8613 -2.8491 -1.1364
Ni -1.8097 -0.6282 -0.5285
Ni 1.0363 -7.2915 -2.3539
Pr 1.0774 -4.0291 1.0998
Co 2.2553 -5.7815 -0.8510
Co 0.0875 -5.0703 -1.7451
Co 1.7955 -6.7149 1.8329
Pr 0.8199 -0.4131 -2.3164
Co 1.5391 -3.1028 -1.5822
Ni -0.0411 -3.2624 -3.4537
Ni 0.2161 -6.8783 -0.0366
Co 0.3592 -1.3432 0.3667
```

[12]
Density functional theory data (PBE) for a geometry-optimized PrCo3Ni2 structure.

Calculated values
Calculated total energy: -38.29 eV/cell
Total magnetic moment: 4.81 Bohr magnetons per cell
Formation energy: -10.0 kJ/mol of atoms

```
6
Lattice="-2.9982 2.4862 -3.0968 -0.0362 1.0382 4.8664 2.8668 2.7523 -0.5658" Properties=species:S:1:pos:R:3 pbc="T T T"
Co -0.0657 2.6193 -1.8313
Pr 0.0000 0.0000 0.0000
Ni -2.0109 2.0035 -0.4424
Co 1.4153 1.8952 2.1503
Co -0.0838 3.1384 0.6019
Ni -1.0236 1.5209 2.2120
```

[13]
Density functional theory data (PBE) for a geometry-optimized PrCoNi structure.

Calculated values
Calculated total energy: -36.05 eV/cell
Total magnetic moment: 1.49 Bohr magnetons per cell
Formation energy: -11.5 kJ/mol of atoms

```
6
Lattice="-3.6601 -0.0236 -3.6305 3.6601 -3.6305 -0.0236 -3.6601 -3.6305 -0.0236" Properties=species:S:1:pos:R:3 pbc="T T T"
Ni -2.7451 -2.7406 -2.7406
Pr -3.6565 -3.6305 -0.0236
Co -4.5752 -4.5558 -2.7524
Pr -1.8337 -5.4576 -1.8507
Co -0.9150 -2.7288 -0.9253
Ni 0.9150 -4.5440 -0.9372
```

[14]
Density functional theory data (PBE) for a geometry-optimized PrSmCo4Ni6 structure.

Calculated values
Calculated total energy: -74.21 eV/cell
Total magnetic moment: 7.74 Bohr magnetons per cell
Formation energy: -12.8 kJ/mol of atoms

```
12
Lattice="-2.6051 -0.6162 2.9856 -3.4242 -1.4518 -3.2875 2.7418 -8.0988 0.7208" Properties=species:S:1:pos:R:3 pbc="T T T"
Co -0.7942 -3.4372 -1.4024
Pr -1.7121 -0.7259 -1.6437
Ni -1.8219 -7.4627 -0.4371
Ni -0.1016 -6.7334 1.2146
Co 0.1118 -6.1134 -1.1643
Sm 1.3709 -4.0494 0.3604
Ni -1.6438 -5.0834 0.2095
Ni -1.4657 -2.7041 0.8560
Co 0.4593 -1.3567 0.1207
Ni -1.3026 -0.3081 1.4928
Co 2.2825 -6.7421 0.6000
Ni -3.1860 -3.4335 -0.7956
```

[15]
Density functional theory data (PBE) for a geometry-optimized CoNiPt2 structure.

Calculated values
Calculated total energy: -25.41 eV/cell
Formation energy: -9.2 kJ/mol of atoms

```
4
Lattice="2.7035 0.0000 0.0000 0.0000 2.7035 0.0000 0.0000 0.0000 7.2532" Properties=species:S:1:pos:R:3 pbc="T T T"
Ni 0.0000 0.0000 3.6266
Pt 1.3518 1.3518 5.4669
Co 0.0000 0.0000 0.0000
Pt 1.3518 1.3518 1.7864
```

[16]
Density functional theory data (PBE) for a geometry-optimized CoNiPt2 structure.

Calculated values
Calculated total energy: -24.99 eV/cell
Total magnetic moment: 3.07 Bohr magnetons per cell
Formation energy: 1.1 kJ/mol of atoms

```
4
Lattice="8.7094 -1.3606 0.0000 8.7094 1.3606 0.0000 8.4969 0.0000 2.3470" Properties=species:S:1:pos:R:3 pbc="T T T"
Pt 6.6464 0.0000 0.6019
Co 0.1340 0.0000 0.0121
Pt 12.8061 0.0000 1.1598
Ni 19.2871 0.0000 1.7467
```

[17]
Density functional theory data (PBE) for a geometry-optimized Co3Ni6S8 structure.

Calculated values
Calculated total energy: -96.03 eV/cell
Total magnetic moment: 0.18 Bohr magnetons per cell
Formation energy: -62.2 kJ/mol of atoms

```
17
Lattice="-3.7160 -1.8512 -5.6603 -1.4868 5.9728 3.3749 0.7248 3.5641 -6.0039" Properties=species:S:1:pos:R:3 pbc="T T T"
Co -0.3876 4.7756 -1.2866
S -2.6803 4.4902 -1.7632
Ni -0.8612 4.9029 -5.4015
Ni -3.4472 6.9515 -6.5375
S -2.4286 6.2261 -4.8058
Co -2.8838 -0.1954 -4.5687
Ni -3.8062 5.1804 -3.5555
S 0.1469 4.1935 -3.5530
S -1.8070 3.2056 -6.4869
S -2.0374 1.4465 -3.5346
Co -0.6627 2.5131 -4.7405
S -0.5913 7.0375 -1.9248
Ni -3.5984 2.7673 -2.8943
Ni -1.6004 7.8702 -3.7262
Ni -1.0430 0.7429 -1.7718
S -0.9049 5.3391 0.9073
S -3.8959 0.6583 -6.3252
```

[18]
Density functional theory data (PBE) for a geometry-optimized CoNiS4 structure.

Calculated values
Calculated total energy: -62.32 eV/cell
Total magnetic moment: 1.27 Bohr magnetons per cell
Formation energy: -60.1 kJ/mol of atoms

```
12
Lattice="5.5669 0.0000 0.0000 0.0000 5.5592 0.0000 0.0000 0.0350 5.5853" Properties=species:S:1:pos:R:3 pbc="T T T"
S 3.3751 0.5946 0.6361
S 0.6380 0.6516 2.2028
S 0.5917 2.2200 4.9491
Co 0.0000 2.7971 2.7926
S 4.9289 4.9425 3.3824
Ni 2.7834 2.7796 0.0000
S 2.1454 3.4312 2.2028
S 3.4214 2.1629 3.3824
Ni 0.0000 0.0000 0.0000
S 2.1917 4.9996 4.9491
Co 2.7834 0.0175 2.7926
S 4.9752 3.3742 0.6361
```

[19]
Density functional theory data (PBE) for a geometry-optimized Co5NiS8 structure.

Calculated values
Calculated total energy: -80.74 eV/cell
Formation energy: -71.4 kJ/mol of atoms

```
14
Lattice="-4.3178 -3.7860 -3.2085 -4.8827 2.7640 -3.4339 0.0676 -0.2204 -6.5741" Properties=species:S:1:pos:R:3 pbc="T T T"
S -3.4604 -0.5788 -8.1468
Co -5.7453 -0.6665 -4.9686
S -5.7895 0.8254 -6.6693
Co -2.2832 -0.3106 -3.3041
S -5.9079 0.6769 -9.9567
Co -3.2630 -2.1630 -6.5432
Co -5.7114 -0.7770 -8.2651
Co -3.5462 1.1215 -6.6562
S -5.6465 -2.3550 -9.8523
S -7.9378 -0.9736 -8.3988
S -5.5237 -2.2564 -6.5633
Ni 0.0000 0.0000 0.0000
S -7.9066 -1.0756 -11.4418
S -3.4922 -0.4751 -5.0537
```

[20]
Density functional theory data (PBE) for a geometry-optimized Co3NiSb12 structure.

Calculated values
Calculated total energy: -79.39 eV/cell
Total magnetic moment: 0.18 Bohr magnetons per cell
Formation energy: -30.4 kJ/mol of atoms

```
16
Lattice="4.5892 -6.4986 0.0000 4.5892 6.4986 0.0000 -4.6134 0.0000 6.4815" Properties=species:S:1:pos:R:3 pbc="T T T"
Sb 4.6071 1.1478 3.2759
Co 2.2946 -3.2493 0.0000
Sb -0.0194 -3.2938 5.3583
Co 2.2946 3.2493 0.0000
Sb 3.0764 -1.0545 1.0091
Sb -1.5510 1.0389 5.4444
Sb 1.4886 1.0545 5.4724
Sb -0.0421 -1.1478 3.2055
Sb 3.1132 -4.3327 2.1593
Sb 3.1139 -2.2023 4.3277
Sb 4.5844 3.2938 1.1232
Ni 2.2825 0.0000 3.2407
Co -2.3067 0.0000 3.2407
Sb 6.1160 -1.0389 1.0371
Sb 1.4518 4.3327 4.3221
Sb 1.4511 2.2023 2.1538
```

For the records above, the corresponding density values read 8.2, 8.9, 9.0, 9.0, 9.0, 8.9, 9.0, 8.9, 9.0, 9.0, 8.5, 8.4, 8.9, 8.5, 15.9, 15.2, 5.3, 4.7, 5.0, 7.3 g cm⁻³.